# 1
An optimized crystal structure of AgAuS2. Source: the Materials Project, functional r²SCAN.

Results
Crystal system = orthorhombic
Formation energy from the elements = 0.04 eV per atom
Magnetization = 0.00 μB/atom
Energy = -175.7 eV for the cell shown

a b c (Å): 4.800 5.564 7.730
angles (deg): 90.00 90.00 90.00
Space group Pccm (No. 49)
Asymmetric unit:
Ag: 0.000 0.000 0.250 x2
Au: 0.500 0.500 0.000 x2
S: 0.328 0.119 0.000 x4

***

# 2
An optimized crystal structure of Ag3AuS2. Source: the Materials Project, functional r²SCAN.

Results
Crystal system = trigonal
Formation energy from the elements = -0.09 eV per atom
Magnetization = 0.00 μB/atom
Energy = -393.9 eV for the cell shown

a b c (Å): 7.9111 7.9111 8.4257
angles (deg): 90.00 90.00 120.00
Space group R-3m (No. 166, hexagonal axes)
Asymmetric unit:
Ag: 0.0000 0.5000 0.0000 x9
Au: 0.0000 0.0000 0.0000 x3
S: 0.0000 0.0000 0.2708 x6

***

# 3
An optimized crystal structure of Sc2AgAu. Source: the Materials Project, functional r²SCAN.

Results
Crystal system = cubic
Formation energy from the elements = -0.58 eV per atom
Magnetization = 0.00 μB/atom
Energy = -388.3 eV for the cell shown

a b c (Å): 6.798 6.798 6.798
angles (deg): 90.00 90.00 90.00
Space group Fm-3m (No. 225)
Asymmetric unit:
Sc: 0.250 0.250 0.250 x8
Ag: 0.000 0.000 0.000 x4
Au: 0.000 0.000 0.500 x4

***

# 4
An optimized crystal structure of Ag3Te2Au. Source: the Materials Project, functional r²SCAN.

Results
Crystal system = cubic
Formation energy from the elements = -0.11 eV per atom
Magnetization = 0.00 μB/atom
Energy = -1329.0 eV for the cell shown

a b c (Å): 10.461 10.461 10.461
angles (deg): 90.00 90.00 90.00
Space group I4_132 (No. 214)
Asymmetric unit:
Ag: 0.000 0.250 0.358 x24
Te: 0.020 0.480 0.520 x16
Au: 0.125 0.125 0.125 x8

***

# 5
An optimized crystal structure of AgTe4Au. Source: the Materials Project, functional r²SCAN.

Results
Crystal system = monoclinic
Formation energy from the elements = -0.10 eV per atom
Magnetization = 0.00 μB/atom
Energy = -348.4 eV for the cell shown

a b c (Å): 8.986 4.614 10.246
angles (deg): 90.00 123.88 90.00
Space group P2/c (No. 13)
Asymmetric unit:
Ag: 0.000 0.019 0.250 x2
Te: 0.205 0.462 0.206 x4
Te: 0.306 0.109 0.043 x4
Au: 0.500 0.500 0.000 x2

***

# 6
An optimized crystal structure of Tm2AgAu. Source: the Materials Project, functional r²SCAN.

Results
Crystal system = cubic
Formation energy from the elements = -0.68 eV per atom
Magnetization = 0.00 μB/atom
Energy = -579.6 eV for the cell shown

a b c (Å): 7.078 7.078 7.078
angles (deg): 90.00 90.00 90.00
Space group Fm-3m (No. 225)
Asymmetric unit:
Tm: 0.250 0.250 0.250 x8
Ag: 0.000 0.000 0.000 x4
Au: 0.000 0.000 0.500 x4

***

# 7
An optimized crystal structure of Y2AgAu. Source: the Materials Project, functional r²SCAN.

Results
Crystal system = cubic
Formation energy from the elements = -0.64 eV per atom
Magnetization = 0.00 μB/atom
Energy = -460.5 eV for the cell shown

a b c (Å): 7.198 7.198 7.198
angles (deg): 90.00 90.00 90.00
Space group Fm-3m (No. 225)
Asymmetric unit:
Y: 0.250 0.250 0.250 x8
Ag: 0.000 0.000 0.000 x4
Au: 0.000 0.000 0.500 x4

***

# 8
An optimized crystal structure of AgBH8C4N8F4. Source: the Materials Project, functional r²SCAN.

Results
Crystal system = triclinic
Formation energy from the elements = -0.70 eV per atom
Magnetization = 0.00 μB/atom
Energy = -399.8 eV for the cell shown

a b c (Å): 5.443 9.488 11.203
angles (deg): 90.38 101.47 95.78
Space group P-1 (No. 2)
Asymmetric unit:
Ag: 0.014 0.339 0.006 x2
B: 0.391 0.205 0.481 x2
H: 0.004 0.346 0.413 x2
H: 0.072 0.992 0.640 x2
H: 0.154 0.052 0.086 x2
H: 0.178 0.675 0.295 x2
H: 0.219 0.090 0.243 x2
H: 0.275 0.549 0.400 x2
H: 0.290 0.680 0.680 x2
H: 0.344 0.097 0.705 x2
C: 0.075 0.497 0.708 x2
C: 0.114 0.031 0.823 x2
C: 0.449 0.519 0.845 x2
C: 0.469 0.165 0.926 x2
N: 0.101 0.045 0.168 x2
N: 0.122 0.621 0.657 x2
N: 0.139 0.583 0.335 x2
N: 0.181 0.042 0.715 x2
N: 0.236 0.448 0.802 x2
N: 0.255 0.094 0.926 x2
N: 0.334 0.769 0.064 x2
N: 0.352 0.423 0.111 x2
F: 0.144 0.139 0.470 x2
F: 0.385 0.353 0.493 x2
F: 0.450 0.843 0.417 x2
F: 0.477 0.175 0.373 x2

***

# 9
An optimized crystal structure of AgBH2OF4. Source: the Materials Project, functional r²SCAN.

Results
Crystal system = orthorhombic
Formation energy from the elements = -2.01 eV per atom
Magnetization = 0.00 μB/atom
Energy = -577.3 eV for the cell shown

a b c (Å): 7.387 12.963 8.123
angles (deg): 90.00 90.00 90.00
Space group Pbca (No. 61)
Asymmetric unit:
Ag: 0.104 0.157 0.239 x8
B: 0.111 0.627 0.864 x8
H: 0.160 0.637 0.517 x8
H: 0.168 0.532 0.422 x8
O: 0.154 0.606 0.407 x8
F: 0.005 0.692 0.963 x8
F: 0.015 0.540 0.815 x8
F: 0.165 0.684 0.723 x8
F: 0.233 0.097 0.952 x8

***

# 10
An optimized crystal structure of Ag2B8O13. Source: the Materials Project, functional r²SCAN.

Results
Crystal system = monoclinic
Formation energy from the elements = -2.27 eV per atom
Magnetization = 0.00 μB/atom
Energy = -925.4 eV for the cell shown

a b c (Å): 6.555 8.694 17.482
angles (deg): 90.00 90.56 90.00
Space group P2_1/c (No. 14)
Asymmetric unit:
Ag: 0.029 0.057 0.404 x4
Ag: 0.430 0.020 0.884 x4
B: 0.016 0.004 0.811 x4
B: 0.038 0.197 0.093 x4
B: 0.038 0.246 0.732 x4
B: 0.264 0.728 0.997 x4
B: 0.375 0.225 0.019 x4
B: 0.470 0.678 0.231 x4
B: 0.473 0.581 0.812 x4
B: 0.491 0.125 0.408 x4
O: 0.037 0.096 0.248 x4
O: 0.037 0.158 0.797 x4
O: 0.041 0.193 0.660 x4
O: 0.051 0.549 0.383 x4
O: 0.074 0.729 0.968 x4
O: 0.247 0.167 0.071 x4
O: 0.308 0.629 0.056 x4
O: 0.331 0.179 0.459 x4
O: 0.420 0.677 0.471 x4
O: 0.440 0.531 0.884 x4
O: 0.441 0.733 0.794 x4
O: 0.465 0.521 0.245 x4
O: 0.496 0.232 0.340 x4

***

# 11
An optimized crystal structure of BaAg5. Source: the Materials Project, functional r²SCAN.

Results
Crystal system = hexagonal
Formation energy from the elements = -0.15 eV per atom
Magnetization = 0.00 μB/atom
Energy = -134.1 eV for the cell shown

a b c (Å): 5.8904 5.8904 4.5590
angles (deg): 90.00 90.00 120.00
Space group P6/mmm (No. 191)
Asymmetric unit:
Ba: 0.0000 0.0000 0.0000 x1
Ag: 0.0000 0.5000 0.5000 x3
Ag: 0.3333 0.6667 0.0000 x2

***

# 12
An optimized crystal structure of BaAg. Source: the Materials Project, functional r²SCAN.

Results
Crystal system = orthorhombic
Formation energy from the elements = -0.23 eV per atom
Magnetization = 0.00 μB/atom
Energy = -193.2 eV for the cell shown

a b c (Å): 8.757 4.992 6.671
angles (deg): 90.00 90.00 90.00
Space group Pnma (No. 62)
Asymmetric unit:
Ba: 0.181 0.250 0.130 x4
Ag: 0.033 0.250 0.612 x4

***

# 13
An optimized crystal structure of Ba2Ga7Ag. Source: the Materials Project, functional r²SCAN.

Results
Crystal system = tetragonal
Formation energy from the elements = -0.44 eV per atom
Magnetization = 0.00 μB/atom
Energy = -158.8 eV for the cell shown

a b c (Å): 4.566 4.566 10.875
angles (deg): 90.00 90.00 90.00
Space group P-4m2 (No. 115)
Asymmetric unit:
Ba: 0.000 0.500 0.246 x2
Ga: 0.000 0.000 0.000 x1
Ga: 0.000 0.500 0.628 x2
Ga: 0.000 0.500 0.871 x2
Ga: 0.500 0.500 0.000 x1
Ga: 0.500 0.500 0.500 x1
Ag: 0.000 0.000 0.500 x1

***

# 14
An optimized crystal structure of BaAgP. Source: the Materials Project, functional r²SCAN.

Results
Crystal system = hexagonal
Formation energy from the elements = -0.83 eV per atom
Magnetization = 0.00 μB/atom
Energy = -118.7 eV for the cell shown

a b c (Å): 4.5046 4.5046 9.0216
angles (deg): 90.00 90.00 120.00
Space group P6_3/mmc (No. 194)
Asymmetric unit:
Ba: 0.0000 0.0000 0.0000 x2
Ag: 0.3333 0.6667 0.2500 x2
P: 0.3333 0.6667 0.7500 x2